--- 1 ---
The following is a GGA-PBE calculation of a relaxed structure of CaSnS3, from Materials Project. Values from VASP.

Calculated volume: 26.4 Å³ per atom

Quantum ESPRESSO input file:
```
&SYSTEM
  ibrav = 0, nat = 20, ntyp = 3
/
ATOMIC_SPECIES
Ca 40.08 Ca.upf
Sn 118.71 Sn.upf
S 32.06 S.upf
ATOMIC_POSITIONS angstrom
Ca 0.0000 0.2817 0.0000
Ca 0.0000 4.5003 3.9273
Ca 7.0163 1.1712 3.1024
Ca 7.0163 3.6108 7.0297
Sn 2.9856 2.1210 5.7871
Sn 2.9856 2.6610 1.8598
Sn 11.0469 2.1210 5.7871
Sn 11.0469 2.6610 1.8598
S 0.0000 2.1065 5.3306
S 0.0000 2.6755 1.4033
S 2.1257 0.2611 2.0142
S 2.1257 4.5209 5.9415
S 4.5069 2.2161 7.7845
S 4.5069 2.5658 3.8572
S 7.0163 1.2152 5.7780
S 7.0163 3.5668 1.8507
S 9.5256 2.2161 7.7845
S 9.5256 2.5658 3.8572
S 11.9068 0.2611 2.0142
S 11.9068 4.5209 5.9415
CELL_PARAMETERS angstrom
14.0325 0.0000 0.0000
0.0000 4.7820 0.0000
0.0000 0.0000 7.8546
```

***

--- 2 ---
The following is a GGA-PBE calculation of a relaxed structure of CaSnS3, from Materials Project. Values from VASP.

Calculated volume: 23.6 Å³ per atom

Quantum ESPRESSO input file:
```
&SYSTEM
  ibrav = 0, nat = 10, ntyp = 3
/
ATOMIC_SPECIES
Ca 40.08 Ca.upf
Sn 118.71 Sn.upf
S 32.06 S.upf
ATOMIC_POSITIONS angstrom
Ca 0.0000 0.0000 4.0712
Ca 0.0000 0.0000 12.2135
Sn 0.0000 0.0000 0.0000
Sn 0.0000 0.0000 8.1423
S -2.1584 0.3486 6.7853
S -1.3811 -1.6949 9.4994
S 0.7773 -2.0435 6.7853
S -0.7773 2.0435 9.4994
S 1.3811 1.6949 6.7853
S 2.1584 -0.3486 9.4994
CELL_PARAMETERS angstrom
3.5395 2.0435 5.4282
-3.5395 2.0435 5.4282
0.0000 -4.0870 5.4282
```

***

--- 3 ---
The following is a GGA-PBE calculation of a relaxed structure of CaSnS3, from Materials Project. Values from VASP.

Calculated volume: 28.0 Å³ per atom

Quantum ESPRESSO input file:
```
&SYSTEM
  ibrav = 0, nat = 100, ntyp = 3
/
ATOMIC_SPECIES
Ca 40.08 Ca.upf
Sn 118.71 Sn.upf
S 32.06 S.upf
ATOMIC_POSITIONS angstrom
Ca 0.4931 4.9647 2.7161
Ca 1.7903 7.8392 6.1167
Ca 2.3769 8.1083 0.0000
Ca 3.5880 3.8938 12.6116
Ca 3.8938 10.9847 2.7325
Ca 3.9309 10.3875 9.4831
Ca 4.1851 3.9309 6.1901
Ca 4.9647 14.0796 6.0091
Ca 6.4644 2.3769 9.8790
Ca 6.7334 1.7903 2.8237
Ca 7.8392 12.7824 9.4098
Ca 8.1083 12.1957 3.2930
Ca 9.6079 0.4931 12.5951
Ca 10.3875 10.6417 12.7761
Ca 10.6417 4.1851 2.8971
Ca 10.6788 3.5880 9.3185
Ca 10.9847 10.6788 6.0255
Ca 12.1957 6.4644 6.5860
Ca 12.7824 6.7334 12.7028
Ca 14.0796 9.6079 9.3021
Sn 0.9199 5.4019 9.3914
Sn 1.0648 12.7561 7.5540
Sn 1.3533 11.7248 13.0101
Sn 1.8165 1.0648 4.2610
Sn 2.8479 1.3533 9.7171
Sn 3.9343 6.3568 3.5190
Sn 5.2077 6.3921 9.2898
Sn 5.4019 13.6527 12.6844
Sn 6.3568 10.6383 6.8120
Sn 6.3921 9.3650 12.5828
Sn 8.1805 5.2077 5.9968
Sn 8.2159 3.9343 0.2260
Sn 9.1707 0.9199 6.0984
Sn 9.3650 8.1805 2.7038
Sn 10.6383 8.2159 10.1051
Sn 11.7248 13.2193 3.1310
Sn 12.7561 13.5079 10.8470
Sn 13.2193 2.8479 6.4241
Sn 13.5079 1.8165 0.9680
Sn 13.6527 9.1707 2.8053
S 0.0631 7.3854 1.4524
S 0.8255 6.2767 11.6225
S 0.8539 1.8127 6.3969
S 1.2203 10.4882 1.9355
S 1.2880 2.0535 1.9466
S 1.5568 3.1926 10.6163
S 1.6698 10.1764 11.2334
S 1.7020 10.4460 7.6005
S 1.8127 13.7188 9.6899
S 2.0535 13.2846 5.2396
S 2.1671 5.2764 4.8889
S 2.9530 5.6683 1.4023
S 3.0756 5.8861 8.1145
S 3.1926 13.0159 0.7372
S 3.5512 8.6141 4.1797
S 4.0845 1.2203 11.8145
S 4.1266 1.7020 4.3075
S 4.3963 1.6698 7.9404
S 4.7221 8.1281 11.0536
S 4.7513 8.9762 1.1344
S 5.1654 8.6006 7.5214
S 5.2764 12.4055 8.1819
S 5.5964 4.7513 11.0134
S 5.6683 11.6197 4.6953
S 5.8861 11.4970 11.4075
S 5.9586 3.5512 0.8867
S 5.9721 5.1654 4.2284
S 6.2767 13.7472 1.7435
S 6.4445 4.7221 7.7606
S 7.1872 0.0631 11.3314
S 7.3854 14.5096 4.7454
S 8.1281 9.8506 1.1745
S 8.2959 0.8255 8.3295
S 8.6006 9.4072 10.8144
S 8.6141 11.0214 7.4727
S 8.6865 3.0756 4.8214
S 8.9043 2.9530 11.2813
S 8.9762 9.8214 4.4274
S 9.2963 2.1671 1.5958
S 9.4072 5.9721 0.9354
S 9.8214 5.5964 7.7204
S 9.8506 6.4445 4.4675
S 10.1764 12.9028 1.3544
S 10.4460 12.8706 10.8935
S 10.4882 13.3524 5.2285
S 11.0214 5.9586 10.7657
S 11.3800 1.5568 7.3233
S 11.4970 8.6865 1.5284
S 11.6197 8.9043 7.9883
S 12.4055 9.2963 11.4749
S 12.5192 1.2880 11.8257
S 12.7600 0.8539 3.1039
S 12.8706 4.1266 1.0144
S 12.9028 4.3963 4.6474
S 13.0159 11.3800 4.0302
S 13.2846 12.5192 8.5327
S 13.3524 4.0845 8.5215
S 13.7188 12.7600 12.9829
S 13.7472 8.2959 5.0365
S 14.5096 7.1872 8.0384
CELL_PARAMETERS angstrom
14.5726 0.0000 0.0000
0.0000 14.5726 0.0000
0.0000 0.0000 13.1721
```

***

--- 4 ---
The following is a GGA-PBE calculation of a relaxed structure of CaSnS3, from Materials Project. Values from VASP.

Calculated volume: 25.5 Å³ per atom

Quantum ESPRESSO input file:
```
&SYSTEM
  ibrav = 0, nat = 40, ntyp = 3
/
ATOMIC_SPECIES
Ca 40.08 Ca.upf
Sn 118.71 Sn.upf
S 32.06 S.upf
ATOMIC_POSITIONS angstrom
Ca 0.0000 0.0000 0.0000
Ca 0.0000 0.0000 6.3561
Ca 0.0000 0.0000 12.7123
Ca 0.0000 0.0000 19.0684
Ca 0.0000 3.9293 2.1932
Ca 0.0000 3.9293 10.5191
Ca 3.4029 1.9647 14.9055
Ca 3.4029 1.9647 23.2313
Sn 0.0000 3.9293 14.4006
Sn 0.0000 3.9293 17.5076
Sn 0.0000 3.9293 20.6293
Sn 0.0000 3.9293 23.7362
Sn 3.4029 1.9647 1.6883
Sn 3.4029 1.9647 4.7953
Sn 3.4029 1.9647 7.9170
Sn 3.4029 1.9647 11.0239
S -1.7014 2.9470 0.0000
S -1.7014 2.9470 12.7123
S -1.6785 2.9602 6.3561
S 0.0000 1.9054 15.8326
S 0.0000 1.9054 22.3042
S -1.7528 4.9413 15.8326
S -1.7528 4.9413 22.3042
S 1.6501 0.9527 3.1204
S 1.6501 0.9527 9.5919
S 1.6785 2.9602 6.3561
S 0.0000 5.8675 6.3561
S 3.4029 0.0000 0.0000
S 3.4029 0.0000 12.7123
S 1.7014 2.9470 0.0000
S 1.7014 2.9470 12.7123
S 3.4029 0.0265 19.0684
S 1.7244 2.9337 19.0684
S 1.7528 4.9413 15.8326
S 1.7528 4.9413 22.3042
S 5.1557 0.9527 3.1204
S 5.1557 0.9527 9.5919
S 3.4029 3.9886 3.1204
S 3.4029 3.9886 9.5919
S 5.0814 2.9337 19.0684
CELL_PARAMETERS angstrom
6.8058 0.0000 0.0000
-3.4029 5.8940 0.0000
0.0000 0.0000 25.4246
```

***

It is 4 that is the least stable of them.

***

--- 1 ---
The following is a GGA-PBE calculation of a relaxed structure of CaSnS3, from Materials Project. Values from VASP.

Calculated volume: 24.8 Å³ per atom

Quantum ESPRESSO input file:
```
&SYSTEM
  ibrav = 0, nat = 10, ntyp = 3
/
ATOMIC_SPECIES
Ca 40.08 Ca.upf
Sn 118.71 Sn.upf
S 32.06 S.upf
ATOMIC_POSITIONS angstrom
Ca 0.0000 3.8748 1.5878
Ca 3.3557 1.9374 4.7635
Sn 0.0000 0.0000 0.0000
Sn 0.0000 0.0000 3.1757
S 0.0000 2.0010 4.7635
S -1.6228 4.8117 4.7635
S 1.7329 1.0005 1.5878
S 1.6228 4.8117 4.7635
S 4.9784 1.0005 1.5878
S 3.3557 3.8112 1.5878
CELL_PARAMETERS angstrom
6.7113 0.0000 0.0000
-3.3557 5.8122 0.0000
0.0000 0.0000 6.3513
```

***

--- 2 ---
The following is a GGA-PBE calculation of a relaxed structure of CaSnS3, from Materials Project. Values from VASP.

Calculated volume: 29.8 Å³ per atom

Quantum ESPRESSO input file:
```
&SYSTEM
  ibrav = 0, nat = 60, ntyp = 3
/
ATOMIC_SPECIES
Ca 40.08 Ca.upf
Sn 118.71 Sn.upf
S 32.06 S.upf
ATOMIC_POSITIONS angstrom
Ca -0.2265 1.1991 5.3305
Ca -1.1863 3.6056 15.3151
Ca 1.2207 5.9564 12.1656
Ca 2.1805 8.4576 2.1810
Ca 1.2371 1.2580 12.1689
Ca 2.1969 3.5467 2.1843
Ca 5.2156 6.0627 17.7849
Ca 6.1754 8.3514 7.8003
Ca 5.2320 1.1518 17.7882
Ca 6.1918 3.6529 7.8036
Ca 8.5989 6.0038 4.6540
Ca 7.6391 8.4103 14.6386
Sn 0.2320 1.4402 18.2293
Sn 1.1918 3.3644 8.2447
Sn 0.2287 5.7566 18.2891
Sn 1.1885 8.6574 8.3046
Sn 3.6008 6.0113 5.8953
Sn 2.6410 8.4027 15.8799
Sn 4.7715 1.2067 4.0893
Sn 3.8117 3.5980 14.0738
Sn 6.2240 0.9520 11.6646
Sn 7.1838 3.8527 1.6800
Sn 6.2208 6.2449 11.7245
Sn 7.1806 8.1691 1.7399
S -1.5091 0.9620 16.6609
S -0.5493 3.8427 6.6763
S -1.5087 6.2548 16.7327
S -0.5489 8.1592 6.7482
S 1.9005 1.1938 0.5738
S 0.9407 3.6109 10.5583
S 2.0088 5.9851 0.6669
S 1.0490 8.4289 10.6515
S 2.1645 6.0122 3.9909
S 1.2047 8.4018 13.9755
S 1.9130 1.1920 7.4194
S 0.9532 3.6127 17.4040
S 2.3667 1.2044 3.9294
S 1.4069 3.6003 13.9140
S 2.4129 6.4804 17.3552
S 3.3727 7.9336 7.3706
S 2.4267 0.7685 17.2784
S 3.3865 4.0362 7.2938
S 4.0260 5.5732 12.6753
S 4.9858 8.8409 2.6907
S 4.0399 1.6758 12.5986
S 4.9997 3.1289 2.6140
S 6.0057 6.0091 6.0552
S 5.0459 8.4050 16.0398
S 6.4593 5.9966 2.5652
S 5.4995 8.4174 12.5497
S 6.2078 1.2075 5.9936
S 5.2480 3.5971 15.9782
S 6.3636 1.1805 9.3176
S 5.4038 3.6242 19.3022
S 6.4719 5.9985 9.4108
S 5.5121 8.4156 19.3954
S 7.9615 1.4501 13.2210
S 8.9213 3.3545 3.2364
S 7.9618 5.7666 13.2929
S 8.9216 8.6474 3.3083
CELL_PARAMETERS angstrom
9.3322 0.0000 0.0000
0.0000 9.6094 0.0000
-1.9196 0.0000 19.9692
```

***

It is 1 that is the least stable of them.

***

--- 1 ---
The following is a GGA-PBE calculation of a relaxed structure of CaSnS3, from Materials Project. Values from VASP.

Calculated volume: 24.8 Å³ per atom

Quantum ESPRESSO input file:
```
&SYSTEM
  ibrav = 0, nat = 40, ntyp = 3
/
ATOMIC_SPECIES
Ca 40.08 Ca.upf
Sn 118.71 Sn.upf
S 32.06 S.upf
ATOMIC_POSITIONS angstrom
Ca 2.0908 2.8966 7.0782
Ca 2.4534 2.4534 2.4534
Ca 2.5339 7.5213 7.4408
Ca 2.8966 7.0782 2.0908
Ca 7.0782 2.0908 2.8966
Ca 7.4408 2.5339 7.5213
Ca 7.5213 7.4408 2.5339
Ca 7.8839 7.8839 7.8839
Sn 0.1592 5.1466 9.8155
Sn 0.1851 0.1851 0.1851
Sn 4.8023 9.7896 5.1725
Sn 4.8282 4.8282 4.8282
Sn 5.1466 9.8155 0.1592
Sn 5.1725 4.8023 9.7896
Sn 9.7896 5.1725 4.8023
Sn 9.8155 0.1592 5.1466
S 0.0740 5.9955 2.2592
S 0.3750 7.7342 9.3059
S 0.6688 5.3623 7.2279
S 1.0082 2.7282 9.9007
S 2.2406 4.3186 4.6124
S 2.2592 0.0740 5.9955
S 2.7282 9.9007 1.0082
S 2.7468 5.6562 9.5997
S 3.9792 7.2465 4.9134
S 4.3186 4.6124 2.2406
S 4.6124 2.2406 4.3186
S 4.9134 3.9792 7.2465
S 5.0614 8.9666 7.7156
S 5.3623 7.2279 0.6688
S 5.6562 9.5997 2.7468
S 5.9955 2.2592 0.0740
S 7.2279 0.6688 5.3623
S 7.2465 4.9134 3.9792
S 7.7156 5.0614 8.9666
S 7.7342 9.3059 0.3750
S 8.9666 7.7156 5.0614
S 9.3059 0.3750 7.7342
S 9.5997 2.7468 5.6562
S 9.9007 1.0082 2.7282
CELL_PARAMETERS angstrom
9.9747 0.0000 0.0000
0.0000 9.9747 0.0000
0.0000 0.0000 9.9747
```

***

--- 2 ---
The following is a GGA-PBE calculation of a relaxed structure of CaSnS3, from Materials Project. Values from VASP.

Calculated volume: 24.9 Å³ per atom

Quantum ESPRESSO input file:
```
&SYSTEM
  ibrav = 0, nat = 15, ntyp = 3
/
ATOMIC_SPECIES
Ca 40.08 Ca.upf
Sn 118.71 Sn.upf
S 32.06 S.upf
ATOMIC_POSITIONS angstrom
Ca 0.0000 0.0000 0.0000
Ca 0.0000 0.0000 6.1316
Ca 0.0000 0.0000 22.1580
Sn 0.0000 0.0000 11.0215
Sn 0.0000 0.0000 14.1448
Sn 0.0000 0.0000 17.2680
S -1.6907 -0.9761 9.4299
S -1.7604 -1.0164 15.6997
S 0.0000 -2.0328 12.5898
S -1.7604 1.0164 12.5898
S -1.6907 0.9761 18.8597
S 0.0000 1.9522 9.4299
S 1.7604 -1.0164 15.6998
S 0.0000 2.0328 15.6998
S 1.7604 1.0164 12.5898
CELL_PARAMETERS angstrom
3.3814 1.9523 9.4299
-3.3814 1.9523 9.4299
0.0000 -3.9045 9.4299
```

***

It is 2 that is the least stable of them.

***

--- 1 ---
The following is a GGA-PBE calculation of a relaxed structure of CaSnS3, from Materials Project. Values from VASP.

Calculated volume: 27.1 Å³ per atom

Quantum ESPRESSO input file:
```
&SYSTEM
  ibrav = 0, nat = 30, ntyp = 3
/
ATOMIC_SPECIES
Ca 40.08 Ca.upf
Sn 118.71 Sn.upf
S 32.06 S.upf
ATOMIC_POSITIONS angstrom
Ca 1.9263 4.9440 3.6899
Ca 2.6147 2.0934 0.0105
Ca 5.3882 7.7091 4.0762
Ca 6.5200 4.7337 7.0242
Ca 9.2935 10.3494 11.0899
Ca 9.9819 7.4988 7.4105
Sn 1.2299 2.9195 7.6485
Sn 5.1378 10.4703 11.0770
Sn 5.6157 8.3703 7.7911
Sn 6.2925 4.0725 3.3094
Sn 6.7704 1.9726 0.0234
Sn 10.6783 9.5233 3.4519
S 2.6154 7.5744 4.7379
S 2.1234 5.1412 0.7479
S 2.2984 3.8154 9.6598
S 2.0417 2.1814 2.9076
S 3.9956 6.6962 8.2711
S 4.9577 10.2305 6.3558
S 4.6815 5.0395 4.7986
S 5.4173 7.7676 1.2871
S 6.7952 9.2580 9.7169
S 5.1131 3.1848 1.3835
S 6.4910 4.6752 9.8133
S 7.2268 7.4033 6.3019
S 6.9506 2.2124 4.7446
S 7.9126 5.7467 2.8293
S 9.8665 10.2615 8.1929
S 9.6099 8.6274 1.4406
S 9.7849 7.3016 10.3526
S 9.2929 4.8684 6.3625
CELL_PARAMETERS angstrom
8.6073 0.0000 0.0000
2.0345 8.5058 0.0000
1.2665 3.9370 11.1004
```

***

--- 2 ---
The following is a GGA-PBE calculation of a relaxed structure of CaSnS3, from Materials Project. Values from VASP.

Calculated volume: 24.0 Å³ per atom

Quantum ESPRESSO input file:
```
&SYSTEM
  ibrav = 0, nat = 10, ntyp = 3
/
ATOMIC_SPECIES
Ca 40.08 Ca.upf
Sn 118.71 Sn.upf
S 32.06 S.upf
ATOMIC_POSITIONS angstrom
Ca 1.9786 4.4315 6.0838
Ca 1.9786 -4.4315 2.0279
Sn 1.9786 0.0000 0.0000
Sn 1.9786 0.0000 4.0559
S 1.9786 7.2863 6.0838
S 1.9786 2.4132 0.0496
S 1.9786 2.4132 4.0062
S 1.9786 -2.4132 4.1055
S 1.9786 -2.4132 8.0621
S 1.9786 -7.2863 2.0279
CELL_PARAMETERS angstrom
1.9786 -7.4737 0.0000
1.9786 7.4737 0.0000
0.0000 0.0000 8.1117
```

***

It is 2 that is the least stable of them.